# 1
A relaxed structure of Na10Ca4Ga4Si3S9O48. Source: Materials Project, functional PBE.

Geometry as POSCAR:
```
Na10Ca4Ga4Si3S9O48
1.0
9.181 0.000 0.000
-0.017 15.698 0.000
-0.077 -1.366 22.811
Na Ca Ga Si S O
30 12 12 9 27 144
direct
0.000 0.000 0.000
0.001 0.332 0.665
0.032 0.006 0.655
0.145 0.524 0.914
0.157 0.850 0.578
0.165 0.195 0.244
0.170 0.515 0.410
0.176 0.840 0.082
0.192 0.187 0.745
0.319 0.002 0.160
0.320 0.671 0.487
0.361 0.368 0.502
0.362 0.699 0.172
0.486 0.535 0.337
0.490 0.866 0.005
0.502 0.504 0.001
0.502 0.832 0.666
0.525 0.837 0.322
0.528 0.171 0.993
0.532 0.506 0.655
0.656 0.349 0.579
0.658 0.013 0.910
0.675 0.688 0.246
0.688 0.018 0.412
0.693 0.343 0.086
0.693 0.687 0.745
0.824 0.503 0.158
0.829 0.168 0.491
0.863 0.868 0.502
0.988 0.364 0.006
0.163 0.842 0.730
0.168 0.512 0.063
0.169 0.175 0.394
0.173 0.846 0.232
0.174 0.512 0.564
0.180 0.177 0.893
0.663 0.341 0.730
0.673 0.010 0.066
0.676 0.012 0.564
0.676 0.678 0.396
0.682 0.677 0.893
0.683 0.340 0.228
0.169 0.511 0.263
0.171 0.180 0.099
0.174 0.505 0.761
0.176 0.854 0.423
0.180 0.851 0.926
0.195 0.175 0.592
0.674 0.003 0.761
0.677 0.360 0.428
0.681 0.008 0.257
0.681 0.362 0.922
0.690 0.683 0.096
0.692 0.677 0.592
0.039 0.029 0.496
0.039 0.360 0.160
0.311 0.694 0.328
0.315 0.031 0.997
0.316 0.358 0.658
0.534 0.858 0.159
0.536 0.530 0.496
0.816 0.857 0.658
0.818 0.531 0.995
0.007 0.992 0.831
0.012 0.325 0.497
0.015 0.660 0.165
0.044 0.692 0.830
0.333 0.657 0.667
0.336 0.325 0.997
0.342 0.994 0.329
0.379 0.685 0.996
0.382 0.017 0.668
0.383 0.348 0.332
0.473 0.183 0.496
0.473 0.853 0.830
0.475 0.516 0.165
0.506 0.493 0.830
0.515 0.156 0.165
0.515 0.826 0.499
0.543 0.192 0.831
0.808 0.192 0.331
0.833 0.157 0.667
0.835 0.489 0.331
0.839 0.825 0.997
0.872 0.855 0.331
0.879 0.183 0.996
0.881 0.517 0.668
0.974 0.018 0.165
0.974 0.353 0.829
0.974 0.683 0.498
0.001 0.829 0.991
0.040 0.275 0.550
0.044 0.941 0.884
0.047 0.607 0.216
0.057 0.410 0.101
0.059 0.093 0.446
0.060 0.434 0.830
0.063 0.763 0.499
0.065 0.413 0.504
0.065 0.951 0.777
0.066 0.078 0.836
0.067 0.096 0.167
0.069 0.748 0.172
0.069 0.943 0.170
0.071 0.279 0.834
0.072 0.609 0.502
0.075 0.739 0.779
0.082 0.623 0.112
0.086 0.286 0.446
0.107 0.740 0.885
0.110 0.074 0.561
0.112 0.416 0.219
0.114 0.930 0.485
0.117 0.606 0.826
0.121 0.264 0.155
0.224 0.406 0.716
0.228 0.262 0.651
0.231 0.934 0.988
0.232 0.076 0.059
0.236 0.594 0.321
0.241 0.748 0.389
0.260 0.291 0.944
0.274 0.624 0.610
0.285 0.092 0.667
0.285 0.275 0.336
0.285 0.763 0.992
0.286 0.081 0.337
0.286 0.747 0.674
0.287 0.603 0.716
0.287 0.957 0.273
0.289 0.092 0.945
0.289 0.607 0.001
0.289 0.939 0.673
0.290 0.415 0.005
0.292 0.410 0.600
0.292 0.747 0.270
0.298 0.430 0.333
0.303 0.938 0.378
0.305 0.273 0.048
0.343 0.496 0.827
0.352 0.153 0.164
0.352 0.826 0.495
0.357 0.846 0.166
0.360 0.517 0.501
0.376 0.862 0.884
0.377 0.527 0.217
0.379 0.198 0.550
0.384 0.173 0.444
0.384 0.182 0.835
0.386 0.842 0.776
0.393 0.507 0.109
0.467 0.004 0.615
0.469 0.701 0.051
0.471 0.673 0.944
0.474 0.339 0.280
0.479 0.030 0.722
0.480 0.359 0.388
0.487 0.681 0.334
0.490 0.015 0.001
0.490 0.353 0.666
0.496 0.657 0.667
0.499 0.324 0.990
0.507 0.994 0.328
0.543 0.441 0.883
0.552 0.774 0.550
0.554 0.912 0.103
0.559 0.582 0.439
0.560 0.934 0.830
0.561 0.101 0.213
0.565 0.244 0.172
0.565 0.263 0.495
0.566 0.451 0.777
0.566 0.579 0.836
0.567 0.595 0.166
0.571 0.123 0.107
0.571 0.779 0.835
0.572 0.110 0.501
0.573 0.913 0.505
0.575 0.441 0.168
0.577 0.240 0.781
0.579 0.788 0.445
0.604 0.239 0.887
0.605 0.907 0.221
0.607 0.579 0.558
0.612 0.431 0.491
0.612 0.760 0.153
0.616 0.106 0.827
0.724 0.905 0.716
0.728 0.762 0.652
0.729 0.432 0.989
0.734 0.105 0.324
0.739 0.577 0.058
0.748 0.236 0.388
0.765 0.789 0.944
0.770 0.781 0.334
0.771 0.575 0.338
0.772 0.451 0.277
0.772 0.582 0.941
0.774 0.242 0.281
0.775 0.125 0.610
0.780 0.935 0.329
0.783 0.260 0.994
0.783 0.592 0.667
0.785 0.105 0.001
0.785 0.915 0.004
0.786 0.104 0.716
0.786 0.247 0.674
0.789 0.438 0.673
0.791 0.910 0.601
0.798 0.436 0.382
0.806 0.776 0.049
0.842 0.996 0.828
0.848 0.324 0.490
0.851 0.660 0.160
0.863 0.015 0.501
0.863 0.353 0.168
0.871 0.028 0.216
0.876 0.361 0.884
0.877 0.695 0.552
0.886 0.342 0.776
0.886 0.682 0.836
0.887 0.673 0.445
0.895 0.009 0.109
0.960 0.843 0.279
0.963 0.863 0.386
0.966 0.182 0.335
0.966 0.504 0.615
0.967 0.170 0.944
0.973 0.198 0.050
0.978 0.530 0.722
0.989 0.508 0.998
0.991 0.852 0.666
0.995 0.157 0.667
0.996 0.494 0.329
```

crystal system	triclinic
uncorrected energy	-1417.1	eV for the cell shown
calculated formation energy	-2.320	eV per atom
calculated volume	14.049	Å³ per atom
total magnetic moment	0.0	μB per cell

# 2
A relaxed structure of KLaHfSnO6. Source: Materials Project, functional PBE.

Geometry as POSCAR:
```
KLaHfSnO6
1.0
0.000 4.113 4.113
4.113 0.000 4.113
4.113 4.113 0.000
K La Hf Sn O
1 1 1 1 6
direct
0.000 0.000 0.000
0.500 0.500 0.500
0.750 0.750 0.750
0.250 0.250 0.250
0.000 0.000 0.500
0.000 0.500 0.000
0.000 0.500 0.500
0.500 0.000 0.000
0.500 0.000 0.500
0.500 0.500 0.000
```

crystal system	cubic
uncorrected energy	-76.0	eV for the cell shown
calculated formation energy	-3.044	eV per atom
calculated volume	13.921	Å³ per atom
total magnetic moment	0.0	μB per cell